Below is a relaxed LiMnO2 crystal, with properties calculated at the PBE+U level.

a = 5.959 Å, b = 5.959 Å, c = 5.917 Å
α = 119.71°, β = 119.71°, γ = 59.59°
Sites, in units of the cell vectors:
Li1 0.000 0.000 0.000
Li2 0.000 0.500 0.000
Li3 0.500 0.000 0.000
Li4 0.500 0.500 0.500
Mn1 0.000 0.000 0.500
Mn2 0.000 0.500 0.500
Mn3 0.500 0.000 0.500
Mn4 0.500 0.500 0.000
O1 0.241 0.241 0.754
O2 0.241 0.730 0.741
O3 0.250 0.250 0.285
O4 0.270 0.759 0.259
O5 0.730 0.241 0.741
O6 0.750 0.750 0.715
O7 0.759 0.270 0.259
O8 0.759 0.759 0.246

Values from the calculation:
Formation enthalpy at 0 K, eV/atom: -2.1081
Theoretical density, g/cm3: 4.191
E, eV per atom: -6.59


Below is a relaxed AlVO4 crystal, with properties calculated at the PBE+U level.

a = 6.628 Å, b = 7.852 Å, c = 9.281 Å
α = 96.14°, β = 107.34°, γ = 101.51°
Sites, in units of the cell vectors:
Al1 0.037 0.193 0.493
Al2 0.251 0.801 0.092
Al3 0.461 0.382 0.709
Al4 0.539 0.618 0.291
Al5 0.749 0.199 0.908
Al6 0.963 0.807 0.507
V1 0.003 0.496 0.755
V2 0.195 0.101 0.843
V3 0.484 0.201 0.375
V4 0.516 0.799 0.625
V5 0.805 0.899 0.157
V6 0.997 0.504 0.245
O1 0.040 0.202 0.923
O2 0.049 0.022 0.641
O3 0.049 0.350 0.354
O4 0.156 0.367 0.675
O5 0.160 0.600 0.932
O6 0.250 0.635 0.236
O7 0.251 0.796 0.532
O8 0.256 0.936 0.936
O9 0.354 0.228 0.524
O10 0.358 0.009 0.245
O11 0.457 0.242 0.860
O12 0.478 0.384 0.286
O13 0.522 0.616 0.714
O14 0.543 0.758 0.140
O15 0.642 0.991 0.755
O16 0.646 0.772 0.476
O17 0.744 0.064 0.064
O18 0.749 0.204 0.468
O19 0.750 0.365 0.764
O20 0.840 0.400 0.068
O21 0.844 0.633 0.325
O22 0.951 0.650 0.646
O23 0.951 0.978 0.359
O24 0.960 0.798 0.077

Values from the calculation:
Formation enthalpy at 0 K, eV/atom: -2.7968
Theoretical density, g/cm3: 3.181
E, eV per atom: -7.49


Below is a relaxed LiCoPO4 crystal, with properties calculated at the PBE+U level.

a = 5.139 Å, b = 6.077 Å, c = 10.357 Å
α = 90.00°, β = 113.46°, γ = 90.00°
Sites, in units of the cell vectors:
Li1 0.087 0.139 0.428
Li2 0.087 0.361 0.928
Li3 0.913 0.639 0.072
Li4 0.913 0.861 0.572
Co1 0.454 0.612 0.658
Co2 0.454 0.888 0.158
Co3 0.546 0.112 0.842
Co4 0.546 0.388 0.342
P1 0.106 0.649 0.363
P2 0.106 0.851 0.863
P3 0.894 0.149 0.137
P4 0.894 0.351 0.637
O1 0.194 0.666 0.975
O2 0.194 0.834 0.475
O3 0.222 0.139 0.221
O4 0.222 0.361 0.721
O5 0.229 0.066 0.947
O6 0.229 0.434 0.447
O7 0.249 0.665 0.255
O8 0.249 0.835 0.755
O9 0.751 0.165 0.245
O10 0.751 0.335 0.745
O11 0.771 0.566 0.553
O12 0.771 0.934 0.053
O13 0.778 0.639 0.279
O14 0.778 0.861 0.779
O15 0.806 0.166 0.525
O16 0.806 0.334 0.025

Values from the calculation:
Formation enthalpy at 0 K, eV/atom: -2.3266
Energy above the most stable polymorph in this dataset, meV/atom: 81.4
Theoretical density, g/cm3: 3.601
E, eV per atom: -6.59


Below is a relaxed Sr10Fe10O29 crystal, with properties calculated at the PBE+U level.

a = 3.906 Å, b = 7.852 Å, c = 19.696 Å
α = 90.00°, β = 90.00°, γ = 90.00°
Sites, in units of the cell vectors:
Sr1 0.000 0.233 0.000
Sr2 0.000 0.246 0.202
Sr3 0.000 0.246 0.798
Sr4 0.000 0.249 0.400
Sr5 0.000 0.249 0.600
Sr6 0.000 0.751 0.400
Sr7 0.000 0.751 0.600
Sr8 0.000 0.754 0.202
Sr9 0.000 0.754 0.798
Sr10 0.000 0.767 0.000
Fe1 0.500 0.000 0.100
Fe2 0.500 0.000 0.300
Fe3 0.500 0.000 0.500
Fe4 0.500 0.000 0.700
Fe5 0.500 0.000 0.900
Fe6 0.500 0.500 0.106
Fe7 0.500 0.500 0.301
Fe8 0.500 0.500 0.500
Fe9 0.500 0.500 0.699
Fe10 0.500 0.500 0.894
O1 0.000 0.000 0.100
O2 0.000 0.000 0.299
O3 0.000 0.000 0.500
O4 0.000 0.000 0.701
O5 0.000 0.000 0.900
O6 0.000 0.500 0.087
O7 0.000 0.500 0.299
O8 0.000 0.500 0.500
O9 0.000 0.500 0.701
O10 0.000 0.500 0.913
O11 0.500 0.000 0.000
O12 0.500 0.000 0.198
O13 0.500 0.000 0.401
O14 0.500 0.000 0.599
O15 0.500 0.000 0.802
O16 0.500 0.249 0.299
O17 0.500 0.249 0.701
O18 0.500 0.251 0.500
O19 0.500 0.260 0.093
O20 0.500 0.260 0.907
O21 0.500 0.500 0.202
O22 0.500 0.500 0.399
O23 0.500 0.500 0.601
O24 0.500 0.500 0.798
O25 0.500 0.740 0.093
O26 0.500 0.740 0.907
O27 0.500 0.749 0.500
O28 0.500 0.751 0.299
O29 0.500 0.751 0.701

Values from the calculation:
Formation enthalpy at 0 K, eV/atom: -2.2508
Theoretical density, g/cm3: 5.219
E, eV per atom: -6.39


Below is a relaxed MgMn6O6F6 crystal, with properties calculated at the PBE+U level.

a = 3.103 Å, b = 5.310 Å, c = 14.690 Å
α = 93.93°, β = 90.00°, γ = 90.01°
Sites, in units of the cell vectors:
Mg1 0.000 0.000 0.000
Mn1 0.005 0.343 0.209
Mn2 0.005 0.609 0.794
Mn3 0.006 0.534 0.505
Mn4 0.500 0.499 0.002
Mn5 0.505 0.136 0.653
Mn6 0.506 0.921 0.352
O1 0.001 0.354 0.069
O2 0.001 0.644 0.933
O3 0.006 0.062 0.288
O4 0.006 0.276 0.591
O5 0.006 0.785 0.416
O6 0.505 0.431 0.753
F1 0.006 0.948 0.726
F2 0.500 0.123 0.927
F3 0.500 0.877 0.073
F4 0.505 0.580 0.245
F5 0.505 0.739 0.574
F6 0.507 0.345 0.439

Values from the calculation:
Formation enthalpy at 0 K, eV/atom: -2.4526
Energy above the most stable polymorph in this dataset, meV/atom: 8.4
Theoretical density, g/cm3: 3.878
E, eV per atom: -6.71


Below is a relaxed Li2V3CrO8 crystal, with properties calculated at the PBE+U level.

a = 5.268 Å, b = 5.907 Å, c = 10.688 Å
α = 98.75°, β = 102.22°, γ = 107.20°
Sites, in units of the cell vectors:
Li1 0.000 0.000 0.000
Li2 0.000 0.500 0.000
Li3 0.496 0.248 0.501
Li4 0.504 0.752 0.499
V1 0.100 0.432 0.629
V2 0.108 0.934 0.628
V3 0.397 0.820 0.869
V4 0.603 0.180 0.131
V5 0.892 0.066 0.372
V6 0.900 0.568 0.371
Cr1 0.391 0.317 0.874
Cr2 0.609 0.683 0.126
O1 0.117 0.975 0.815
O2 0.129 0.499 0.825
O3 0.164 0.391 0.444
O4 0.171 0.911 0.446
O5 0.335 0.342 0.055
O6 0.341 0.860 0.058
O7 0.371 0.255 0.679
O8 0.384 0.774 0.682
O9 0.616 0.226 0.318
O10 0.629 0.745 0.321
O11 0.659 0.140 0.942
O12 0.665 0.658 0.945
O13 0.829 0.089 0.554
O14 0.836 0.609 0.556
O15 0.871 0.501 0.175
O16 0.883 0.025 0.185

Values from the calculation:
Formation enthalpy at 0 K, eV/atom: -2.4277
Energy above the most stable polymorph in this dataset, meV/atom: 59.5
Theoretical density, g/cm3: 3.810
E, eV per atom: -7.26


Below is a relaxed Ba8Ti3CoSi8O32 crystal, with properties calculated at the PBE+U level.

a = 12.173 Å, b = 12.173 Å, c = 5.322 Å
α = 90.00°, β = 90.00°, γ = 90.00°
Sites, in units of the cell vectors:
Ba1 0.077 0.250 0.000
Ba2 0.250 0.577 0.002
Ba3 0.250 0.923 0.000
Ba4 0.423 0.250 0.002
Ba5 0.577 0.750 0.002
Ba6 0.750 0.077 0.000
Ba7 0.750 0.423 0.002
Ba8 0.923 0.750 0.000
Ti1 0.000 0.500 0.542
Ti2 0.500 0.000 0.542
Ti3 0.500 0.500 0.542
Co1 0.000 0.000 0.547
Si1 0.121 0.752 0.519
Si2 0.248 0.121 0.519
Si3 0.250 0.378 0.519
Si4 0.378 0.750 0.519
Si5 0.622 0.250 0.519
Si6 0.750 0.622 0.519
Si7 0.752 0.879 0.519
Si8 0.879 0.248 0.519
O1 0.000 0.000 0.225
O2 0.000 0.500 0.222
O3 0.063 0.859 0.653
O4 0.064 0.643 0.649
O5 0.123 0.751 0.217
O6 0.141 0.063 0.653
O7 0.142 0.436 0.650
O8 0.249 0.123 0.217
O9 0.250 0.250 0.635
O10 0.250 0.376 0.218
O11 0.250 0.750 0.635
O12 0.357 0.064 0.649
O13 0.358 0.435 0.650
O14 0.376 0.750 0.218
O15 0.435 0.642 0.650
O16 0.436 0.858 0.650
O17 0.500 0.000 0.222
O18 0.500 0.500 0.222
O19 0.564 0.142 0.650
O20 0.565 0.358 0.650
O21 0.624 0.250 0.218
O22 0.642 0.565 0.650
O23 0.643 0.936 0.649
O24 0.750 0.250 0.635
O25 0.750 0.624 0.218
O26 0.750 0.750 0.635
O27 0.751 0.877 0.217
O28 0.858 0.564 0.650
O29 0.859 0.937 0.653
O30 0.877 0.249 0.217
O31 0.936 0.357 0.649
O32 0.937 0.141 0.653

Values from the calculation:
Formation enthalpy at 0 K, eV/atom: -3.2850
Theoretical density, g/cm3: 4.290
E, eV per atom: -7.60


Below is a relaxed Sr2ZnWO6 crystal, with properties calculated at the PBE+U level.

a = 5.717 Å, b = 5.717 Å, c = 5.717 Å
α = 120.63°, β = 120.63°, γ = 88.91°
Sites, in units of the cell vectors:
Sr1 0.250 0.750 0.500
Sr2 0.750 0.250 0.500
Zn1 0.000 0.000 0.000
W1 0.500 0.500 0.000
O1 0.215 0.695 0.910
O2 0.261 0.261 0.000
O3 0.305 0.215 0.520
O4 0.695 0.785 0.480
O5 0.739 0.739 0.000
O6 0.785 0.305 0.090

Values from the calculation:
Formation enthalpy at 0 K, eV/atom: -2.6809
Theoretical density, g/cm3: 6.606
E, eV per atom: -6.55


Below is a relaxed SrCa3Mn4O10 crystal, with properties calculated at the PBE+U level.

a = 10.997 Å, b = 11.188 Å, c = 17.275 Å
α = 71.15°, β = 71.51°, γ = 90.00°
Sites, in units of the cell vectors:
Sr1 0.000 0.000 0.000
Sr2 0.001 0.502 0.999
Sr3 0.112 0.601 0.777
Sr4 0.251 0.741 0.000
Sr5 0.500 0.501 0.000
Sr6 0.610 0.600 0.281
Sr7 0.750 0.239 0.000
Sr8 0.859 0.359 0.282
Ca1 0.002 0.007 0.497
Ca2 0.002 0.507 0.497
Ca3 0.108 0.594 0.285
Ca4 0.109 0.093 0.284
Ca5 0.109 0.095 0.782
Ca6 0.252 0.237 0.497
Ca7 0.252 0.238 0.996
Ca8 0.253 0.738 0.495
Ca9 0.357 0.362 0.286
Ca10 0.358 0.863 0.284
Ca11 0.360 0.363 0.783
Ca12 0.360 0.865 0.782
Ca13 0.501 0.006 0.996
Ca14 0.501 0.007 0.497
Ca15 0.501 0.507 0.498
Ca16 0.607 0.093 0.285
Ca17 0.609 0.094 0.783
Ca18 0.609 0.594 0.782
Ca19 0.752 0.236 0.498
Ca20 0.752 0.737 0.497
Ca21 0.752 0.740 0.994
Ca22 0.858 0.364 0.782
Ca23 0.858 0.862 0.286
Ca24 0.858 0.865 0.782
Mn1 0.052 0.299 0.392
Mn2 0.052 0.800 0.390
Mn3 0.053 0.802 0.888
Mn4 0.055 0.300 0.887
Mn5 0.198 0.394 0.143
Mn6 0.198 0.900 0.142
Mn7 0.199 0.395 0.639
Mn8 0.199 0.901 0.637
Mn9 0.301 0.550 0.391
Mn10 0.302 0.050 0.390
Mn11 0.304 0.053 0.887
Mn12 0.305 0.550 0.888
Mn13 0.443 0.199 0.143
Mn14 0.447 0.706 0.140
Mn15 0.448 0.204 0.639
Mn16 0.450 0.705 0.639
Mn17 0.550 0.299 0.392
Mn18 0.551 0.800 0.392
Mn19 0.553 0.300 0.888
Mn20 0.554 0.802 0.888
Mn21 0.692 0.396 0.142
Mn22 0.694 0.897 0.140
Mn23 0.699 0.397 0.640
Mn24 0.699 0.897 0.640
Mn25 0.801 0.048 0.392
Mn26 0.802 0.550 0.392
Mn27 0.803 0.051 0.888
Mn28 0.803 0.553 0.887
Mn29 0.946 0.705 0.143
Mn30 0.946 0.706 0.637
Mn31 0.948 0.204 0.640
Mn32 0.949 0.200 0.141
O1 0.111 0.896 0.259
O2 0.112 0.893 0.754
O3 0.114 0.387 0.754
O4 0.114 0.395 0.258
O5 0.124 0.730 0.147
O6 0.130 0.226 0.142
O7 0.131 0.739 0.631
O8 0.133 0.228 0.639
O9 0.172 0.418 0.403
O10 0.172 0.918 0.402
O11 0.176 0.924 0.895
O12 0.178 0.416 0.898
O13 0.183 0.682 0.378
O14 0.184 0.182 0.378
O15 0.187 0.184 0.876
O16 0.187 0.685 0.878
O17 0.228 0.511 0.524
O18 0.230 0.014 0.522
O19 0.234 0.009 0.023
O20 0.234 0.502 0.025
O21 0.359 0.085 0.260
O22 0.363 0.590 0.257
O23 0.364 0.091 0.756
O24 0.368 0.590 0.755
O25 0.373 0.365 0.148
O26 0.380 0.873 0.640
O27 0.381 0.374 0.639
O28 0.381 0.875 0.141
O29 0.420 0.418 0.404
O30 0.422 0.921 0.402
O31 0.423 0.418 0.898
O32 0.428 0.926 0.897
O33 0.430 0.681 0.381
O34 0.432 0.179 0.379
O35 0.434 0.181 0.878
O36 0.438 0.682 0.875
O37 0.478 0.205 0.523
O38 0.479 0.707 0.523
O39 0.480 0.209 0.023
O40 0.482 0.715 0.021
O41 0.609 0.892 0.258
O42 0.610 0.388 0.259
O43 0.612 0.394 0.756
O44 0.613 0.896 0.755
O45 0.621 0.227 0.147
O46 0.631 0.228 0.640
O47 0.631 0.735 0.133
O48 0.633 0.729 0.639
O49 0.671 0.416 0.406
O50 0.672 0.918 0.402
O51 0.673 0.920 0.900
O52 0.675 0.422 0.895
O53 0.679 0.177 0.382
O54 0.683 0.181 0.877
O55 0.684 0.684 0.382
O56 0.686 0.686 0.876
O57 0.729 0.010 0.524
O58 0.729 0.511 0.525
O59 0.731 0.005 0.022
O60 0.731 0.509 0.023
O61 0.861 0.089 0.757
O62 0.862 0.089 0.258
O63 0.864 0.592 0.754
O64 0.864 0.593 0.259
O65 0.871 0.866 0.149
O66 0.872 0.361 0.141
O67 0.880 0.875 0.639
O68 0.881 0.374 0.640
O69 0.922 0.919 0.402
O70 0.922 0.921 0.897
O71 0.923 0.421 0.405
O72 0.925 0.423 0.895
O73 0.931 0.684 0.879
O74 0.935 0.175 0.382
O75 0.935 0.179 0.876
O76 0.935 0.681 0.379
O77 0.978 0.707 0.521
O78 0.979 0.206 0.522
O79 0.979 0.718 0.025
O80 0.984 0.214 0.023

Values from the calculation:
Formation enthalpy at 0 K, eV/atom: -2.5533
Energy above the most stable polymorph in this dataset, meV/atom: 0.0
Theoretical density, g/cm3: 4.119
E, eV per atom: -7.01